Entry 1:
First-principles (meta-GGA r2SCAN) data for a geometry-optimized Rb2CrO4 structure, as listed in the Materials Project database.

Cell and atoms, written as CIF:
```
data_Rb2CrO4
_cell_length_a 7.996
_cell_length_b 6.045
_cell_length_c 10.705
_cell_angle_alpha 90.00
_cell_angle_beta 90.00
_cell_angle_gamma 90.00
_space_group_name_H-M_alt 'P n m a'
_space_group_IT_number 62
loop_
_space_group_symop_operation_xyz
'x,y,z'
'-x,-y,-z'
'-x+1/2,-y,z+1/2'
'x+1/2,y,-z+1/2'
'x+1/2,-y+1/2,-z+1/2'
'-x+1/2,y+1/2,z+1/2'
'-x,y+1/2,-z'
'x,-y+1/2,z'
loop_
_atom_site_label
_atom_site_type_symbol
_atom_site_fract_x
_atom_site_fract_y
_atom_site_fract_z
Rb1 Rb 0.014 0.250 0.197
Rb2 Rb 0.166 0.750 0.412
Cr1 Cr 0.232 0.750 0.079
O1 O 0.026 0.750 0.084
O2 O 0.196 0.027 0.650
O3 O 0.202 0.250 0.433
```

Entry 2:
First-principles (meta-GGA r2SCAN) data for a geometry-optimized RbCrO2 structure, as listed in the Materials Project database.

Cell and atoms, written as CIF:
```
data_RbCrO2
_cell_length_a 3.1166
_cell_length_b 3.1166
_cell_length_c 18.6065
_cell_angle_alpha 90.00
_cell_angle_beta 90.00
_cell_angle_gamma 120.00
_space_group_name_H-M_alt 'R -3 m'
_space_group_IT_number 166
_space_group_name_Hall '-R 3 2"'
loop_
_atom_site_label
_atom_site_type_symbol
_atom_site_fract_x
_atom_site_fract_y
_atom_site_fract_z
Rb1 Rb 0.0000 0.0000 0.0000
Cr1 Cr 0.0000 0.0000 0.5000
O1 O 0.0000 0.0000 0.2198
```

Entry 3:
First-principles (meta-GGA r2SCAN) data for a geometry-optimized Rb2UCr2O10 structure, as listed in the Materials Project database.

Cell and atoms, written as CIF:
```
data_Rb2UCr2O10
_cell_length_a 8.096
_cell_length_b 10.348
_cell_length_c 13.736
_cell_angle_alpha 102.73
_cell_angle_beta 106.53
_cell_angle_gamma 94.06
_space_group_name_H-M_alt 'P -1'
_space_group_IT_number 2
loop_
_space_group_symop_operation_xyz
'x,y,z'
'-x,-y,-z'
loop_
_atom_site_label
_atom_site_type_symbol
_atom_site_fract_x
_atom_site_fract_y
_atom_site_fract_z
Rb1 Rb 0.054 0.316 0.472
Rb2 Rb 0.057 0.496 0.831
Rb3 Rb 0.344 0.044 0.641
Rb4 Rb 0.369 0.240 0.992
U1 U 0.176 0.895 0.080
U2 U 0.392 0.655 0.445
Cr1 Cr 0.114 0.903 0.344
Cr2 Cr 0.125 0.854 0.837
Cr3 Cr 0.389 0.636 0.672
Cr4 Cr 0.394 0.614 0.155
O1 O 0.005 0.758 0.055
O2 O 0.015 0.258 0.256
O3 O 0.029 0.952 0.915
O4 O 0.053 0.213 0.708
O5 O 0.059 0.031 0.411
O6 O 0.177 0.560 0.409
O7 O 0.190 0.944 0.251
O8 O 0.211 0.552 0.670
O9 O 0.235 0.513 0.065
O10 O 0.242 0.945 0.793
O11 O 0.245 0.782 0.926
O12 O 0.275 0.846 0.425
O13 O 0.342 0.756 0.608
O14 O 0.346 0.029 0.100
O15 O 0.370 0.621 0.274
O16 O 0.392 0.770 0.138
O17 O 0.395 0.247 0.518
O18 O 0.424 0.433 0.854
O19 O 0.480 0.311 0.212
O20 O 0.480 0.541 0.588
```

We obtain energy of formation values of -1441.7; -779.6; -3427.7 kJ/mol of formula units for the records listed above, in that order.